The following is a PBE-GGA calculation of a relaxed structure of Zn3TeO6, from Materials Project.

Properties
* electronic total energy: -296.91 eV per cell
* energy relative to the elements: -1.700 eV/atom
* corrected total energy (MP2020 scheme): -5.36 eV/atom

```
Zn3TeO6
1.0
7.563 -4.488 0.000
7.563 4.488 0.000
-0.520 0.000 10.528
Zn Te O
18 6 36
Direct
0.001 0.727 0.243
0.065 0.343 0.425
0.101 0.574 0.941
0.201 0.799 0.750
0.273 0.999 0.257
0.323 0.623 0.448
0.343 0.065 0.925
0.377 0.677 0.052
0.426 0.899 0.559
0.574 0.101 0.441
0.623 0.323 0.948
0.657 0.935 0.075
0.677 0.377 0.552
0.727 0.001 0.743
0.799 0.201 0.250
0.899 0.426 0.059
0.935 0.657 0.575
0.999 0.273 0.757
0.000 0.000 0.000
0.000 0.000 0.500
0.334 0.337 0.694
0.337 0.334 0.194
0.663 0.666 0.806
0.666 0.663 0.306
0.047 0.093 0.158
0.089 0.768 0.071
0.091 0.763 0.559
0.093 0.047 0.658
0.113 0.413 0.600
0.121 0.431 0.095
0.223 0.259 0.817
0.232 0.548 0.299
0.232 0.911 0.429
0.237 0.909 0.941
0.241 0.556 0.795
0.259 0.223 0.317
0.413 0.113 0.100
0.426 0.430 0.072
0.430 0.426 0.572
0.431 0.121 0.595
0.444 0.759 0.705
0.452 0.768 0.201
0.548 0.232 0.799
0.556 0.241 0.295
0.569 0.879 0.405
0.570 0.574 0.428
0.574 0.570 0.928
0.587 0.887 0.900
0.741 0.777 0.683
0.759 0.444 0.205
0.763 0.091 0.059
0.768 0.089 0.571
0.768 0.452 0.701
0.777 0.741 0.183
0.879 0.569 0.905
0.887 0.587 0.400
0.907 0.953 0.342
0.909 0.237 0.441
0.911 0.232 0.929
0.953 0.907 0.842
```

The following is a PBE-GGA calculation of a relaxed structure of ZnTeO3, from Materials Project.

Properties
* electronic total energy: -202.79 eV per cell
* energy relative to the elements: -1.633 eV/atom
* corrected total energy (MP2020 scheme): -5.48 eV/atom

```
ZnTeO3
1.0
6.452 0.000 0.000
0.000 12.429 0.000
0.000 0.000 7.550
Zn Te O
8 8 24
Direct
0.121 0.090 0.109
0.121 0.410 0.609
0.379 0.590 0.109
0.379 0.910 0.609
0.621 0.090 0.391
0.621 0.410 0.891
0.879 0.590 0.391
0.879 0.910 0.891
0.092 0.144 0.558
0.092 0.356 0.058
0.408 0.644 0.558
0.408 0.856 0.058
0.592 0.144 0.942
0.592 0.356 0.442
0.908 0.644 0.942
0.908 0.856 0.442
0.025 0.589 0.158
0.025 0.911 0.658
0.154 0.566 0.539
0.154 0.934 0.039
0.200 0.223 0.972
0.200 0.277 0.472
0.300 0.723 0.972
0.300 0.777 0.472
0.346 0.066 0.539
0.346 0.434 0.039
0.475 0.089 0.158
0.475 0.411 0.658
0.525 0.589 0.342
0.525 0.911 0.842
0.654 0.566 0.961
0.654 0.934 0.461
0.700 0.223 0.528
0.700 0.277 0.028
0.800 0.723 0.528
0.800 0.777 0.028
0.846 0.066 0.961
0.846 0.434 0.461
0.975 0.089 0.342
0.975 0.411 0.842
```